# 1
Compound: NbRh2
Source: the Materials Project database
Functional: GGA-PBE
Structure: optimized geometry

```
data_NbRh2
_symmetry_space_group_name_H-M 'P 1 2/m 1'
_symmetry_Int_Tables_number 10
_symmetry_space_group_name_Hall '-P 2y'
_cell_length_a 4.840
_cell_length_b 2.818
_cell_length_c 6.940
_cell_angle_alpha 90.00
_cell_angle_beta 102.15
_cell_angle_gamma 90.00
loop_
_atom_site_label
_atom_site_type_symbol
_atom_site_fract_x
_atom_site_fract_y
_atom_site_fract_z
Nb1 Nb 0.233 0.000 0.174
Rh1 Rh 0.000 0.000 0.500
Rh2 Rh 0.269 0.500 0.835
Rh3 Rh 0.500 0.500 0.500
```

Computed properties:
- Total DFT energy (no corrections): -8.614 eV per atom

=====

# 2
Compound: NbRh3
Source: the Materials Project database
Functional: GGA-PBE
Structure: optimized geometry

```
data_NbRh3
_symmetry_space_group_name_H-M 'P m -3 m'
_symmetry_Int_Tables_number 221
_symmetry_space_group_name_Hall '-P 4 2 3'
_cell_length_a 3.911
_cell_length_b 3.911
_cell_length_c 3.911
_cell_angle_alpha 90.00
_cell_angle_beta 90.00
_cell_angle_gamma 90.00
loop_
_atom_site_label
_atom_site_type_symbol
_atom_site_fract_x
_atom_site_fract_y
_atom_site_fract_z
Nb1 Nb 0.000 0.000 0.000
Rh1 Rh 0.000 0.500 0.500
```

Computed properties:
- Total DFT energy (no corrections): -8.549 eV per atom

=====

# 3
Compound: Nb3Rh
Source: the Materials Project database
Functional: GGA-PBE
Structure: optimized geometry

```
data_Nb3Rh
_symmetry_space_group_name_H-M 'P m -3 n'
_symmetry_Int_Tables_number 223
_symmetry_space_group_name_Hall '-P 4n 2 3'
_cell_length_a 5.186
_cell_length_b 5.186
_cell_length_c 5.186
_cell_angle_alpha 90.00
_cell_angle_beta 90.00
_cell_angle_gamma 90.00
loop_
_atom_site_label
_atom_site_type_symbol
_atom_site_fract_x
_atom_site_fract_y
_atom_site_fract_z
Nb1 Nb 0.000 0.250 0.500
Rh1 Rh 0.000 0.000 0.000
```

Computed properties:
- Total DFT energy (no corrections): -9.672 eV per atom